1.
Here is Rb2HgC4N4 after structural relaxation from the Materials Project. Energies are from PBE.

For the formation energy, the calculation gives -0.09 eV per atom. The magnetic moment comes out at 0.000 μB per atom. The value obtained for the total energy is -865.03 eV per cell.

It has space group R-3c (No. 167, hexagonal axes), with a = 9.1690 Å, b = 9.1690 Å, c = 47.6458 Å, α = 90.00°, β = 90.00° and γ = 120.00°. The inequivalent atoms are Rb at (0.0000, 0.0000, 0.0000), Rb at (0.0000, 0.4363, 0.2500), Hg at (0.0000, 0.0000, 0.1878), C at (0.0000, 0.0000, 0.1416), C at (0.0770, 0.4958, 0.3696), N at (0.0000, 0.0000, 0.1169) and N at (0.0602, 0.4715, 0.1219).

2.
Here is RbHgC3S3N3 after structural relaxation from the Materials Project. Energies are from PBE.

For the formation energy, the calculation gives -0.22 eV per atom. The magnetic moment comes out at 0.000 μB per atom. The value obtained for the total energy is -132.46 eV per cell.

It has space group P2_1/m (No. 11), with a = 11.348 Å, b = 4.245 Å, c = 11.639 Å, α = 90.00°, β = 115.62° and γ = 90.00°. The inequivalent atoms are Rb at (0.220, 0.250, 0.095), Hg at (0.222, 0.750, 0.646), C at (0.027, 0.750, 0.776), C at (0.301, 0.750, 0.411), C at (0.463, 0.250, 0.860), S at (0.010, 0.250, 0.378), S at (0.305, 0.250, 0.824), S at (0.394, 0.750, 0.567), N at (0.051, 0.750, 0.885), N at (0.243, 0.750, 0.299) and N at (0.424, 0.750, 0.113).

3.
Here is HgC6S4N2 after structural relaxation from the Materials Project. Energies are from PBE.

For the formation energy, the calculation gives 0.99 eV per atom. The magnetic moment comes out at 0.000 μB per atom. The value obtained for the total energy is -293.02 eV per cell.

It has space group C2/c (No. 15), with a = 18.329 Å, b = 7.715 Å, c = 10.256 Å, α = 90.00°, β = 114.06° and γ = 90.00°. The inequivalent atoms are Hg at (0.000, 0.000, 0.000), C at (0.108, 0.198, 0.391), C at (0.156, 0.497, 0.832), C at (0.201, 0.364, 0.288), S at (0.051, 0.285, 0.471), S at (0.122, 0.006, 0.859) and N at (0.148, 0.331, 0.346).